Below is crystalline K4C at its relaxed geometry, with properties calculated at the PBE level.

Unit cell a=7.7827 b=7.7827 c=7.7827 alpha=93.97 beta=93.97 gamma=149.48
Closest atoms and distances in Å follow each position.
Fractional coordinates of all 5 atoms:
K: 0.0000 0.2315 0.2315  2 C 3.20, 2 K 3.48
K: 0.0000 0.7685 0.7685  2 C 3.20, 2 K 3.48
K: 0.2315 0.0000 0.2315  2 C 3.20, 2 K 3.48
K: 0.7685 0.0000 0.7685  2 C 3.20, 2 K 3.48
C: 0.5000 0.5000 0.0000  8 K 3.20

Space group: I4/mmm, No. 139
Energy relative to the elements in eV/atom: 0.950
Volume in Å³ per cell: 231
Electronic total energy in eV/cell: -8.9
Crystal system: tetragonal